DFT (GGA-PBE) results for an optimized crystal structure of Na2La4SiS5O24.

Computed properties:
ΔH_f (0 K): -2715 meV per atom
Total energy after the MP2020 corrections: -7.360 eV/atom
Total moment: 0.000 μB per formula unit
Raw total energy: -6.9024 eV per atom

Unit cell a=9.549 b=9.558 c=25.495 alpha=89.99 beta=89.92 gamma=60.13
Fractional coordinates of all 108 atoms:
Na 0.000 0.000 0.000
Na 0.004 0.016 0.516
Na 0.359 0.308 0.845
Na 0.364 0.338 0.355
Na 0.666 0.683 0.689
Na 0.683 0.669 0.178
La 0.005 0.015 0.369
La 0.016 0.001 0.162
La 0.016 0.004 0.863
La 0.028 0.002 0.668
La 0.350 0.321 0.702
La 0.351 0.336 0.197
La 0.362 0.322 0.991
La 0.362 0.336 0.496
La 0.668 0.695 0.830
La 0.681 0.658 0.334
La 0.685 0.655 0.531
La 0.686 0.681 0.025
Si 0.315 0.001 0.765
Si 0.681 0.370 0.430
Si 0.691 0.969 0.931
S 0.017 0.300 0.263
S 0.018 0.703 0.763
S 0.053 0.631 0.098
S 0.054 0.335 0.596
S 0.312 0.707 0.264
S 0.347 0.634 0.598
S 0.350 0.038 0.099
S 0.384 0.670 0.932
S 0.386 0.967 0.431
S 0.647 0.338 0.098
S 0.651 0.035 0.597
S 0.718 0.303 0.764
S 0.719 0.001 0.263
S 0.980 0.372 0.931
S 0.982 0.667 0.430
O 0.000 0.217 0.216
O 0.002 0.812 0.425
O 0.034 0.781 0.811
O 0.035 0.190 0.599
O 0.036 0.204 0.310
O 0.036 0.795 0.104
O 0.134 0.351 0.644
O 0.137 0.533 0.146
O 0.142 0.358 0.936
O 0.143 0.520 0.434
O 0.149 0.555 0.051
O 0.151 0.320 0.548
O 0.165 0.315 0.258
O 0.166 0.542 0.758
O 0.201 0.796 0.600
O 0.203 0.022 0.105
O 0.206 0.020 0.817
O 0.217 0.784 0.311
O 0.223 0.817 0.929
O 0.224 0.987 0.711
O 0.225 0.980 0.425
O 0.230 0.804 0.216
O 0.330 0.133 0.051
O 0.330 0.542 0.258
O 0.333 0.165 0.760
O 0.333 0.552 0.549
O 0.365 0.525 0.937
O 0.365 0.537 0.644
O 0.366 0.121 0.146
O 0.366 0.131 0.434
O 0.466 0.684 0.980
O 0.466 0.870 0.477
O 0.476 0.691 0.266
O 0.482 0.648 0.885
O 0.484 0.889 0.382
O 0.494 0.652 0.593
O 0.495 0.839 0.765
O 0.495 0.875 0.096
O 0.518 0.351 0.433
O 0.525 0.149 0.936
O 0.549 0.352 0.146
O 0.553 0.115 0.644
O 0.554 0.321 0.758
O 0.556 0.149 0.258
O 0.569 0.134 0.549
O 0.571 0.317 0.051
O 0.664 0.476 0.377
O 0.665 0.482 0.096
O 0.665 0.874 0.591
O 0.668 0.880 0.880
O 0.700 0.461 0.482
O 0.702 0.856 0.267
O 0.703 0.864 0.985
O 0.705 0.463 0.767
O 0.794 0.204 0.811
O 0.796 0.021 0.311
O 0.810 0.190 0.105
O 0.812 0.020 0.600
O 0.814 0.220 0.716
O 0.817 0.986 0.216
O 0.844 0.189 0.426
O 0.852 0.988 0.929
O 0.872 0.462 0.266
O 0.874 0.682 0.766
O 0.883 0.451 0.979
O 0.883 0.689 0.477
O 0.891 0.647 0.096
O 0.892 0.483 0.592
O 0.900 0.466 0.884
O 0.901 0.652 0.382
O 0.998 0.802 0.716
O 0.999 0.207 0.929

DFT (GGA-PBE) results for an optimized crystal structure of Na2La2SiS2O12.

Computed properties:
ΔH_f (0 K): -2776 meV per atom
Total energy after the MP2020 corrections: -7.281 eV/atom
Total moment: 0.000 μB per formula unit
Raw total energy: -6.8468 eV per atom

Unit cell a=9.593 b=9.593 c=24.733 alpha=90.61 beta=90.61 gamma=60.16
Fractional coordinates of all 114 atoms:
Na 0.000 0.000 0.000
Na 0.000 0.000 0.500
Na 0.023 0.651 0.251
Na 0.036 0.708 0.926
Na 0.307 0.376 0.333
Na 0.374 0.996 0.594
Na 0.376 0.307 0.833
Na 0.651 0.023 0.751
Na 0.674 0.709 0.665
Na 0.708 0.036 0.426
Na 0.709 0.674 0.165
Na 0.996 0.374 0.094
La 0.020 0.024 0.648
La 0.024 0.020 0.148
La 0.034 0.039 0.346
La 0.039 0.034 0.846
La 0.350 0.373 0.481
La 0.352 0.359 0.181
La 0.359 0.352 0.681
La 0.373 0.350 0.981
La 0.665 0.715 0.816
La 0.693 0.715 0.014
La 0.715 0.665 0.316
La 0.715 0.693 0.514
Si 0.000 0.701 0.409
Si 0.025 0.333 0.242
Si 0.057 0.659 0.079
Si 0.333 0.025 0.742
Si 0.659 0.057 0.579
Si 0.701 0.000 0.909
S 0.022 0.724 0.751
S 0.057 0.353 0.581
S 0.328 0.723 0.248
S 0.353 0.057 0.081
S 0.361 0.669 0.582
S 0.383 0.690 0.916
S 0.400 0.990 0.416
S 0.669 0.361 0.082
S 0.690 0.383 0.416
S 0.723 0.328 0.748
S 0.724 0.022 0.251
S 0.990 0.400 0.916
O 0.005 0.828 0.704
O 0.021 0.232 0.913
O 0.024 0.246 0.184
O 0.026 0.229 0.294
O 0.029 0.843 0.082
O 0.036 0.802 0.801
O 0.059 0.196 0.582
O 0.135 0.374 0.630
O 0.148 0.398 0.916
O 0.149 0.349 0.532
O 0.154 0.549 0.132
O 0.158 0.567 0.023
O 0.165 0.563 0.745
O 0.179 0.541 0.415
O 0.183 0.362 0.247
O 0.196 0.059 0.082
O 0.219 0.836 0.582
O 0.221 0.838 0.915
O 0.228 0.807 0.296
O 0.229 0.026 0.794
O 0.232 0.021 0.413
O 0.245 0.815 0.199
O 0.246 0.024 0.684
O 0.338 0.562 0.245
O 0.348 0.587 0.533
O 0.349 0.149 0.032
O 0.354 0.551 0.916
O 0.362 0.183 0.747
O 0.362 0.580 0.631
O 0.374 0.135 0.130
O 0.398 0.148 0.416
O 0.472 0.694 0.964
O 0.474 0.679 0.867
O 0.474 0.902 0.467
O 0.487 0.890 0.078
O 0.489 0.704 0.252
O 0.495 0.896 0.369
O 0.508 0.685 0.581
O 0.518 0.865 0.743
O 0.541 0.179 0.915
O 0.549 0.154 0.632
O 0.551 0.354 0.416
O 0.562 0.338 0.745
O 0.563 0.165 0.245
O 0.567 0.158 0.523
O 0.580 0.362 0.131
O 0.587 0.348 0.033
O 0.659 0.883 0.579
O 0.679 0.474 0.367
O 0.682 0.918 0.852
O 0.685 0.508 0.081
O 0.694 0.472 0.464
O 0.704 0.489 0.752
O 0.711 0.873 0.252
O 0.721 0.877 0.959
O 0.802 0.036 0.301
O 0.807 0.228 0.796
O 0.815 0.245 0.699
O 0.828 0.005 0.204
O 0.836 0.219 0.082
O 0.838 0.221 0.415
O 0.843 0.029 0.582
O 0.865 0.518 0.243
O 0.873 0.711 0.752
O 0.875 0.998 0.911
O 0.877 0.721 0.459
O 0.883 0.659 0.079
O 0.890 0.487 0.578
O 0.896 0.495 0.869
O 0.902 0.474 0.967
O 0.918 0.682 0.352
O 0.998 0.875 0.411

Which of these has the highest raw total energy?
Na2La2SiS2O12